Compound: HfH2
Source: the Materials Project database
Functional: PBE
Structure: optimized geometry

```
HfH2
1.0
-1.7505 1.7505 2.1329
1.7505 -1.7505 2.1329
1.7505 1.7505 -2.1329
H Hf
2 1
Cartesian
0.0000 1.7505 1.0665
1.7505 0.0000 1.0665
0.0000 0.0000 0.0000
```

Results
SG: I4/mmm, No. 139
Density: 11466 kg/m3
ΔE_f: -597 meV/atom